No. 1
An optimized crystal structure of MgCo4P12O36. Source: the Materials Project database, functional GGA+U.

formation enthalpy at 0 K	-12060	kJ/mol of formula units
distance to the lowest polymorph of the same formula	0.042	eV per atom

Cell lengths 8.594, 8.621, 8.953 Å; angles 89.14, 91.89, 89.31 degrees
Fractional positions:
1 P 0.972 0.824 0.808
2 P 0.200 0.819 0.553
3 P 0.813 0.299 0.952
4 P 0.165 0.493 0.215
5 P 0.032 0.318 0.690
6 P 0.311 0.508 0.672
7 P 0.686 0.013 0.811
8 P 0.447 0.668 0.200
9 P 0.541 0.177 0.315
10 P 0.711 0.686 0.435
11 P 0.822 0.986 0.306
12 P 0.289 0.205 0.068
13 O 0.049 0.792 0.650
14 O 0.552 0.721 0.338
15 O 0.899 0.366 0.585
16 O 0.335 0.542 0.279
17 O 0.349 0.214 0.910
18 O 0.140 0.466 0.729
19 O 0.855 0.966 0.752
20 O 0.643 0.309 0.365
21 O 0.353 0.806 0.144
22 O 0.611 0.874 0.881
23 O 0.694 0.410 0.876
24 O 0.405 0.568 0.807
25 O 0.214 0.378 0.082
26 O 0.736 0.130 0.945
27 O 0.384 0.372 0.598
28 O 0.667 0.655 0.591
29 O 0.859 0.326 0.111
30 O 0.314 0.921 0.637
31 O 0.595 0.102 0.691
32 O 0.898 0.123 0.381
33 O 0.151 0.851 0.394
34 O 0.789 0.857 0.431
35 O 0.090 0.401 0.337
36 O 0.134 0.183 0.650
37 O 0.419 0.116 0.413
38 O 0.081 0.628 0.142
39 O 0.901 0.915 0.176
40 O 0.278 0.645 0.557
41 O 0.542 0.581 0.090
42 O 0.192 0.085 0.134
43 O 0.456 0.236 0.159
44 O 0.878 0.685 0.848
45 O 0.091 0.880 0.921
46 O 0.647 0.038 0.252
47 O 0.813 0.574 0.353
48 O 0.965 0.287 0.854
49 Co 0.647 0.655 0.815
50 Co 0.125 0.857 0.149
51 Co 0.869 0.349 0.363
52 Co 0.367 0.142 0.629
53 Mg 0.483 0.409 0.957



No. 2
An optimized crystal structure of MgCoP4O12. Source: the Materials Project database, functional GGA+U.

formation enthalpy at 0 K	-4558	kJ/mol of formula units

Cell lengths 7.290, 7.290, 10.071 Å; angles 66.96, 66.96, 70.23 degrees
Fractional positions:
1 Mg 0.047 0.953 0.750
2 Mg 0.953 0.047 0.250
3 O 0.126 0.279 0.175
4 O 0.215 0.505 0.564
5 O 0.685 0.467 0.850
6 O 0.814 0.285 0.082
7 O 0.650 0.807 0.655
8 O 0.721 0.874 0.325
9 O 0.715 0.186 0.418
10 O 0.785 0.495 0.436
11 O 0.505 0.215 0.064
12 O 0.907 0.151 0.598
13 O 0.285 0.814 0.582
14 O 0.533 0.315 0.650
15 O 0.315 0.533 0.150
16 O 0.495 0.785 0.936
17 O 0.151 0.907 0.098
18 O 0.807 0.650 0.155
19 O 0.350 0.193 0.345
20 O 0.874 0.721 0.825
21 O 0.093 0.849 0.402
22 O 0.279 0.126 0.675
23 O 0.849 0.093 0.902
24 O 0.186 0.715 0.918
25 O 0.193 0.350 0.845
26 O 0.467 0.685 0.350
27 P 0.705 0.684 0.306
28 P 0.255 0.732 0.476
29 P 0.732 0.255 0.976
30 P 0.268 0.745 0.024
31 P 0.295 0.316 0.694
32 P 0.316 0.295 0.194
33 P 0.684 0.705 0.806
34 P 0.745 0.268 0.524
35 Co 0.000 0.500 0.000
36 Co 0.500 0.000 0.500



No. 3
An optimized crystal structure of MgCo4P8O28. Source: the Materials Project database, functional GGA+U.

formation enthalpy at 0 K	-8663	kJ/mol of formula units
distance to the lowest polymorph of the same formula	0.020	eV per atom

Cell lengths 7.038, 8.221, 9.568 Å; angles 89.63, 108.76, 89.80 degrees
Fractional positions:
1 P 0.924 0.537 0.292
2 P 0.472 0.593 0.718
3 P 0.550 0.100 0.787
4 P 0.067 0.047 0.205
5 P 0.070 0.461 0.699
6 P 0.458 0.928 0.205
7 P 0.528 0.429 0.293
8 P 0.929 0.957 0.787
9 O 0.912 0.675 0.397
10 O 0.603 0.918 0.359
11 O 0.758 0.401 0.292
12 O 0.104 0.337 0.591
13 O 0.128 0.454 0.344
14 O 0.570 0.628 0.883
15 O 0.075 0.178 0.093
16 O 0.494 0.420 0.668
17 O 0.867 0.544 0.648
18 O 0.120 0.385 0.854
19 O 0.460 0.095 0.128
20 O 0.883 0.605 0.137
21 O 0.480 0.792 0.099
22 O 0.506 0.721 0.614
23 O 0.527 0.595 0.364
24 O 0.929 0.816 0.897
25 O 0.869 0.893 0.630
26 O 0.231 0.907 0.208
27 O 0.420 0.099 0.626
28 O 0.537 0.937 0.864
29 O 0.866 0.954 0.151
30 O 0.486 0.292 0.391
31 O 0.391 0.423 0.134
32 O 0.233 0.615 0.716
33 O 0.146 0.019 0.838
34 O 0.511 0.240 0.880
35 O 0.108 0.109 0.361
36 O 0.785 0.105 0.795
37 Co 0.753 0.789 0.015
38 Co 0.278 0.239 0.000
39 Co 0.289 0.272 0.488
40 Co 0.717 0.729 0.502
41 Mg 0.308 0.804 0.889



No. 4
An optimized crystal structure of MgCo4P8O28. Source: the Materials Project database, functional GGA+U.

formation enthalpy at 0 K	-8740	kJ/mol of formula units
distance to the lowest polymorph of the same formula	0.000	eV per atom

Cell lengths 7.010, 8.203, 9.522 Å; angles 90.88, 108.68, 90.22 degrees
Fractional positions:
1 O 0.506 0.786 0.123
2 O 0.774 0.406 0.295
3 O 0.493 0.285 0.375
4 O 0.914 0.685 0.411
5 O 0.529 0.712 0.621
6 O 0.894 0.911 0.636
7 O 0.103 0.179 0.110
8 O 0.877 0.546 0.652
9 O 0.382 0.066 0.646
10 O 0.608 0.582 0.876
11 O 0.138 0.471 0.347
12 O 0.917 0.829 0.901
13 O 0.605 0.916 0.383
14 O 0.750 0.098 0.796
15 O 0.482 0.213 0.896
16 O 0.119 0.067 0.835
17 O 0.885 0.619 0.145
18 O 0.483 0.086 0.150
19 O 0.240 0.905 0.224
20 O 0.093 0.316 0.598
21 O 0.115 0.116 0.375
22 O 0.115 0.400 0.861
23 O 0.529 0.906 0.881
24 O 0.246 0.594 0.700
25 O 0.410 0.415 0.120
26 O 0.871 0.961 0.161
27 O 0.489 0.406 0.639
28 O 0.520 0.592 0.350
29 Co 0.710 0.727 0.509
30 Co 0.283 0.230 0.997
31 Co 0.733 0.777 0.016
32 Co 0.293 0.312 0.475
33 P 0.469 0.923 0.223
34 P 0.539 0.424 0.283
35 P 0.924 0.967 0.800
36 P 0.074 0.046 0.213
37 P 0.078 0.459 0.704
38 P 0.483 0.574 0.715
39 P 0.526 0.069 0.805
40 P 0.932 0.552 0.301
41 Mg 0.084 0.065 0.581



No. 5
An optimized crystal structure of MgCo5P8O28. Source: the Materials Project database, functional GGA+U.

formation enthalpy at 0 K	-8945	kJ/mol of formula units
distance to the lowest polymorph of the same formula	0.044	eV per atom

Cell lengths 7.554, 7.755, 10.450 Å; angles 107.96, 85.51, 95.20 degrees
Fractional positions:
1 O 0.305 0.038 0.005
2 O 0.973 0.834 0.064
3 O 0.288 0.047 0.256
4 O 0.100 0.454 0.739
5 O 0.751 0.983 0.738
6 O 0.437 0.419 0.684
7 O 0.589 0.291 0.835
8 O 0.362 0.092 0.677
9 O 0.623 0.933 0.297
10 O 0.401 0.705 0.164
11 O 0.025 0.839 0.616
12 O 0.319 0.710 0.699
13 O 0.672 0.290 0.302
14 O 0.698 0.635 0.984
15 O 0.242 0.377 0.398
16 O 0.283 0.365 0.027
17 O 0.355 0.816 0.421
18 O 0.022 0.151 0.935
19 O 0.902 0.529 0.232
20 O 0.702 0.971 0.011
21 O 0.992 0.131 0.382
22 O 0.336 0.626 0.909
23 O 0.582 0.600 0.313
24 O 0.633 0.345 0.093
25 O 0.082 0.223 0.177
26 O 0.895 0.764 0.825
27 O 0.737 0.648 0.601
28 O 0.659 0.199 0.582
29 Co 0.491 0.494 0.998
30 Co 0.274 0.848 0.597
31 Co 0.225 0.814 0.074
32 Co 0.771 0.170 0.913
33 Co 0.757 0.153 0.411
34 P 0.846 0.805 0.689
35 P 0.720 0.447 0.235
36 P 0.279 0.549 0.759
37 P 0.175 0.188 0.029
38 P 0.490 0.770 0.301
39 P 0.162 0.203 0.312
40 P 0.817 0.803 0.976
41 P 0.511 0.240 0.693
42 Mg 0.524 0.093 0.158



No. 6
An optimized crystal structure of MgCo5P8O28. Source: the Materials Project database, functional GGA+U.

formation enthalpy at 0 K	-8862	kJ/mol of formula units
distance to the lowest polymorph of the same formula	0.064	eV per atom

Cell lengths 7.805, 7.806, 10.546 Å; angles 109.27, 87.05, 95.11 degrees
Fractional positions:
1 O 0.261 0.031 0.984
2 O 0.997 0.214 0.991
3 O 0.250 0.309 0.436
4 O 0.671 0.214 0.593
5 O 0.639 0.259 0.287
6 O 0.163 0.281 0.195
7 O 0.584 0.294 0.836
8 O 0.372 0.103 0.660
9 O 0.404 0.704 0.163
10 O 0.706 0.640 0.979
11 O 0.747 0.970 0.748
12 O 0.618 0.898 0.339
13 O 0.535 0.572 0.321
14 O 0.615 0.359 0.088
15 O 0.032 0.868 0.637
16 O 0.453 0.437 0.690
17 O 0.357 0.656 0.908
18 O 0.907 0.757 0.824
19 O 0.963 0.140 0.326
20 O 0.318 0.793 0.414
21 O 0.293 0.364 0.994
22 O 0.005 0.769 0.046
23 O 0.773 0.978 0.035
24 O 0.127 0.466 0.743
25 O 0.247 0.003 0.244
26 O 0.774 0.644 0.589
27 O 0.330 0.715 0.689
28 O 0.854 0.490 0.250
29 Co 0.723 0.143 0.408
30 Co 0.499 0.508 0.997
31 Co 0.742 0.169 0.918
32 Co 0.268 0.864 0.599
33 Co 0.240 0.837 0.067
34 Mg 0.888 0.207 0.172
35 P 0.520 0.251 0.691
36 P 0.164 0.183 0.317
37 P 0.300 0.566 0.757
38 P 0.844 0.790 0.974
39 P 0.184 0.216 0.031
40 P 0.857 0.809 0.693
41 P 0.666 0.430 0.241
42 P 0.467 0.758 0.311



No. 7
An optimized crystal structure of SrMgCoP2O8. Source: the Materials Project database, functional GGA+U.

formation enthalpy at 0 K	-3565	kJ/mol of formula units
distance to the lowest polymorph of the same formula	0.000	eV per atom

Cell lengths 8.204, 9.491, 9.473 Å; angles 116.94, 96.81, 77.01 degrees
Fractional positions:
1 P 0.209 0.602 0.238
2 P 0.291 0.898 0.762
3 P 0.718 0.560 0.304
4 P 0.791 0.398 0.763
5 P 0.284 0.441 0.696
6 P 0.216 0.059 0.304
7 P 0.709 0.102 0.237
8 P 0.782 0.940 0.696
9 O 0.102 0.485 0.635
10 O 0.848 0.187 0.234
11 O 0.712 0.097 0.401
12 O 0.215 0.597 0.402
13 O 0.787 0.403 0.599
14 O 0.749 0.919 0.122
15 O 0.252 0.081 0.879
16 O 0.652 0.313 0.766
17 O 0.310 0.267 0.689
18 O 0.462 0.809 0.796
19 O 0.308 0.563 0.867
20 O 0.693 0.438 0.133
21 O 0.038 0.691 0.204
22 O 0.963 0.309 0.797
23 O 0.151 0.814 0.766
24 O 0.601 0.984 0.635
25 O 0.192 0.938 0.133
26 O 0.912 0.921 0.576
27 O 0.899 0.516 0.364
28 O 0.414 0.423 0.577
29 O 0.285 0.904 0.598
30 O 0.807 0.063 0.867
31 O 0.397 0.015 0.365
32 O 0.085 0.077 0.423
33 O 0.751 0.581 0.879
34 O 0.537 0.191 0.203
35 O 0.690 0.733 0.309
36 O 0.349 0.685 0.234
37 O 0.588 0.579 0.424
38 O 0.190 0.233 0.312
39 O 0.810 0.767 0.691
40 O 0.248 0.419 0.121
41 Mg 0.637 0.626 0.655
42 Mg 0.362 0.373 0.345
43 Mg 0.863 0.874 0.344
44 Mg 0.138 0.127 0.655
45 Sr 0.498 0.753 0.053
46 Sr 0.998 0.251 0.052
47 Sr 0.002 0.748 0.947
48 Sr 0.502 0.249 0.948
49 Co 0.037 0.675 0.563
50 Co 0.964 0.327 0.438
51 Co 0.462 0.825 0.436
52 Co 0.537 0.173 0.563



No. 8
An optimized crystal structure of MgTiCoP3O12. Source: the Materials Project database, functional GGA+U.

formation enthalpy at 0 K	-4657	kJ/mol of formula units

Cell lengths 8.482, 8.482, 8.482 Å; angles 61.19, 61.19, 61.19 degrees
Fractional positions:
1 P 0.250 0.546 0.956
2 P 0.750 0.456 0.046
3 P 0.046 0.750 0.456
4 P 0.956 0.250 0.546
5 P 0.546 0.956 0.250
6 P 0.456 0.046 0.750
7 O 0.943 0.090 0.740
8 O 0.005 0.184 0.381
9 O 0.320 0.504 0.112
10 O 0.820 0.612 0.004
11 O 0.684 0.505 0.881
12 O 0.911 0.259 0.054
13 O 0.184 0.381 0.005
14 O 0.554 0.759 0.411
15 O 0.590 0.443 0.240
16 O 0.112 0.320 0.504
17 O 0.004 0.820 0.612
18 O 0.443 0.240 0.590
19 O 0.090 0.740 0.943
20 O 0.881 0.684 0.505
21 O 0.381 0.005 0.184
22 O 0.504 0.112 0.320
23 O 0.240 0.590 0.443
24 O 0.612 0.004 0.820
25 O 0.505 0.881 0.684
26 O 0.740 0.943 0.090
27 O 0.411 0.554 0.759
28 O 0.759 0.411 0.554
29 O 0.259 0.054 0.911
30 O 0.054 0.911 0.259
31 Co 0.354 0.354 0.354
32 Co 0.854 0.854 0.854
33 Mg 0.996 0.996 0.996
34 Mg 0.496 0.496 0.496
35 Ti 0.644 0.644 0.644
36 Ti 0.144 0.144 0.144



No. 9
An optimized crystal structure of PrMgCoO3. Source: the Materials Project database, functional GGA+U.

formation enthalpy at 0 K	-1034	kJ/mol of formula units
distance to the lowest polymorph of the same formula	0.179	eV per atom

Cell lengths 6.971, 3.858, 3.858 Å; angles 90.00, 90.00, 90.00 degrees
Fractional positions:
1 Mg 0.500 0.000 0.000
2 O 0.500 0.000 0.500
3 O 0.500 0.500 0.000
4 O 0.000 0.500 0.500
5 Co 0.500 0.500 0.500
6 Pr 0.000 0.000 0.000



No. 10
An optimized crystal structure of PrMgCo2O6. Source: the Materials Project database, functional GGA+U.

formation enthalpy at 0 K	-2022	kJ/mol of formula units

Cell lengths 5.269, 5.370, 7.628 Å; angles 89.40, 89.91, 88.94 degrees
Fractional positions:
1 Mg 0.022 0.058 0.748
2 Mg 0.530 0.441 0.255
3 O 0.130 0.519 0.261
4 O 0.281 0.259 0.943
5 O 0.781 0.240 0.440
6 O 0.675 0.708 0.060
7 O 0.692 0.703 0.445
8 O 0.170 0.787 0.943
9 O 0.630 0.981 0.753
10 O 0.428 0.051 0.248
11 O 0.786 0.241 0.052
12 O 0.919 0.448 0.737
13 O 0.180 0.793 0.559
14 O 0.276 0.266 0.552
15 Co 0.508 0.003 0.000
16 Co 0.001 0.499 0.001
17 Co 0.000 0.497 0.499
18 Co 0.508 0.006 0.502
19 Pr 0.998 0.958 0.254
20 Pr 0.486 0.543 0.746